CuSb2Xe4F20: optimized geometry, PBE.

Computed properties:
Energy relative to the elements = -40.27 kcal/mol of atoms
Total DFT energy (no corrections) = -177.41 eV/cell

CIF file:
```
data_CuSb2Xe4F20
_chemical_formula_sum 'Cu2 Sb4 Xe8 F40'
_space_group_name_H-M_alt 'I -4'
_space_group_IT_number 82
_space_group_name_Hall 'I -4'
_cell_length_a 11.334
_cell_length_b 11.334
_cell_length_c 8.493
_cell_angle_alpha 90.00
_cell_angle_beta 90.00
_cell_angle_gamma 90.00
loop_
_atom_site_label
_atom_site_type_symbol
_atom_site_fract_x
_atom_site_fract_y
_atom_site_fract_z
Cu1 Cu 0.000 0.000 0.000
Sb1 Sb 0.000 0.000 0.500
Sb2 Sb 0.000 0.500 0.750
Xe1 Xe 0.152 0.267 0.138
F1 F 0.000 0.000 0.271
F2 F 0.000 0.500 0.523
F3 F 0.033 0.167 0.987
F4 F 0.075 0.151 0.496
F5 F 0.108 0.631 0.746
F6 F 0.136 0.755 0.216
```

Eu2YTaO6: optimized geometry, PBE.

Computed properties:
Energy relative to the elements = -79.99 kcal/mol of atoms
Total DFT energy (no corrections) = -396.36 eV/cell

CIF file:
```
data_Eu2YTaO6
_chemical_formula_sum 'Eu8 Y4 Ta4 O24'
_space_group_name_H-M_alt 'F m -3 m'
_space_group_IT_number 225
_space_group_name_Hall '-F 4 2 3'
_cell_length_a 8.427
_cell_length_b 8.427
_cell_length_c 8.427
_cell_angle_alpha 90.00
_cell_angle_beta 90.00
_cell_angle_gamma 90.00
loop_
_atom_site_label
_atom_site_type_symbol
_atom_site_fract_x
_atom_site_fract_y
_atom_site_fract_z
Eu1 Eu 0.250 0.250 0.250
Y1 Y 0.000 0.000 0.000
Ta1 Ta 0.000 0.000 0.500
O1 O 0.000 0.000 0.263
```

LiBi2BO5: optimized geometry, PBE.

Computed properties:
Energy relative to the elements = -47.01 kcal/mol of atoms
Total DFT energy (no corrections) = -224.08 eV/cell

CIF file:
```
data_LiBi2BO5
_chemical_formula_sum 'Li4 Bi8 B4 O20'
_space_group_name_H-M_alt 'P n m a'
_space_group_IT_number 62
_space_group_name_Hall '-P 2ac 2n'
_cell_length_a 5.779
_cell_length_b 7.118
_cell_length_c 11.302
_cell_angle_alpha 90.00
_cell_angle_beta 90.00
_cell_angle_gamma 90.00
loop_
_atom_site_label
_atom_site_type_symbol
_atom_site_fract_x
_atom_site_fract_y
_atom_site_fract_z
Li1 Li 0.224 0.250 0.154
Bi1 Bi 0.229 0.007 0.399
B1 B 0.190 0.750 0.142
O1 O 0.036 0.750 0.532
O2 O 0.110 0.750 0.807
O3 O 0.126 0.579 0.087
O4 O 0.185 0.250 0.745
```

Cs2KGaBr6: optimized geometry, PBE.

Computed properties:
Energy relative to the elements = -39.34 kcal/mol of atoms
Total DFT energy (no corrections) = -118.42 eV/cell

CIF file:
```
data_Cs2KGaBr6
_chemical_formula_sum 'Cs8 K4 Ga4 Br24'
_space_group_name_H-M_alt 'F m -3 m'
_space_group_IT_number 225
_space_group_name_Hall '-F 4 2 3'
_cell_length_a 11.517
_cell_length_b 11.517
_cell_length_c 11.517
_cell_angle_alpha 90.00
_cell_angle_beta 90.00
_cell_angle_gamma 90.00
loop_
_atom_site_label
_atom_site_type_symbol
_atom_site_fract_x
_atom_site_fract_y
_atom_site_fract_z
Cs1 Cs 0.250 0.250 0.250
K1 K 0.000 0.000 0.000
Ga1 Ga 0.000 0.000 0.500
Br1 Br 0.000 0.000 0.276
```

Na2S3N: optimized geometry, PBE.

Computed properties:
Energy relative to the elements = -0.78 kcal/mol of atoms
Total DFT energy (no corrections) = -86.90 eV/cell

CIF file:
```
data_Na2S3N
_chemical_formula_sum 'Na8 S12 N4'
_space_group_name_H-M_alt 'C 1 2/m 1'
_space_group_IT_number 12
_space_group_name_Hall '-C 2y'
_cell_length_a 9.274
_cell_length_b 6.969
_cell_length_c 8.971
_cell_angle_alpha 90.00
_cell_angle_beta 104.64
_cell_angle_gamma 90.00
loop_
_atom_site_label
_atom_site_type_symbol
_atom_site_fract_x
_atom_site_fract_y
_atom_site_fract_z
Na1 Na 0.000 0.000 0.000
Na2 Na 0.000 0.500 0.500
Na3 Na 0.194 0.000 0.716
S1 S 0.065 0.238 0.270
S2 S 0.173 0.000 0.385
N1 N 0.211 0.500 0.980
```

MgZn3Cu2H14S2O18: optimized geometry, PBE.

Computed properties:
Energy relative to the elements = -33.98 kcal/mol of atoms
Total DFT energy (no corrections) = -204.99 eV/cell

CIF file:
```
data_MgZn3Cu2H14S2O18
_chemical_formula_sum 'Mg1 Zn3 Cu2 H14 S2 O18'
_space_group_name_H-M_alt 'P 1'
_space_group_IT_number 1
_space_group_name_Hall 'P 1'
_cell_length_a 5.554
_cell_length_b 6.790
_cell_length_c 10.730
_cell_angle_alpha 94.79
_cell_angle_beta 97.36
_cell_angle_gamma 93.73
loop_
_atom_site_label
_atom_site_type_symbol
_atom_site_fract_x
_atom_site_fract_y
_atom_site_fract_z
Mg1 Mg 0.000 0.000 0.000
Zn1 Zn 0.149 0.725 0.670
Zn2 Zn 0.530 0.520 0.221
Zn3 Zn 0.583 0.018 0.156
Cu1 Cu 0.107 0.362 0.268
Cu2 Cu 0.107 0.733 0.194
H1 H 0.266 0.406 0.547
H2 H 0.361 0.847 0.956
H3 H 0.375 0.086 0.741
H4 H 0.468 0.849 0.349
H5 H 0.477 0.221 0.346
H6 H 0.477 0.999 0.614
H7 H 0.520 0.537 0.590
H8 H 0.722 0.962 0.769
H9 H 0.769 0.294 0.040
H10 H 0.776 0.665 0.015
H11 H 0.788 0.499 0.748
H12 H 0.885 0.394 0.625
H13 H 0.902 0.631 0.381
H14 H 0.974 0.096 0.779
S1 S 0.398 0.453 0.892
S2 S 0.876 0.039 0.477
O1 O 0.015 0.204 0.563
O2 O 0.264 0.278 0.817
O3 O 0.294 0.637 0.844
O4 O 0.342 0.974 0.004
O5 O 0.344 0.543 0.559
O6 O 0.371 0.454 0.028
O7 O 0.412 0.243 0.259
O8 O 0.429 0.963 0.697
O9 O 0.443 0.800 0.259
O10 O 0.609 0.046 0.487
O11 O 0.664 0.458 0.880
O12 O 0.830 0.780 0.075
O13 O 0.833 0.523 0.663
O14 O 0.844 0.201 0.096
O15 O 0.860 0.525 0.312
O16 O 0.898 0.975 0.807
O17 O 0.915 0.051 0.345
O18 O 0.958 0.843 0.519
```

BaP2O5: optimized geometry, PBE.

Computed properties:
Energy relative to the elements = -56.76 kcal/mol of atoms
Total DFT energy (no corrections) = -429.93 eV/cell

CIF file:
```
data_BaP2O5
_chemical_formula_sum 'Ba8 P16 O40'
_space_group_name_H-M_alt 'F d d 2'
_space_group_IT_number 43
_space_group_name_Hall 'F 2 -2d'
_cell_length_a 6.848
_cell_length_b 22.428
_cell_length_c 7.068
_cell_angle_alpha 90.00
_cell_angle_beta 90.00
_cell_angle_gamma 90.00
loop_
_atom_site_label
_atom_site_type_symbol
_atom_site_fract_x
_atom_site_fract_y
_atom_site_fract_z
Ba1 Ba 0.000 0.000 0.000
P1 P 0.001 0.435 0.971
O1 O 0.000 0.000 0.599
O2 O 0.054 0.182 0.614
O3 O 0.070 0.314 0.595
```

Al3Ni: optimized geometry, PBE.

Computed properties:
Energy relative to the elements = -9.34 kcal/mol of atoms
Total DFT energy (no corrections) = -74.55 eV/cell

CIF file:
```
data_Al3Ni
_chemical_formula_sum 'Al12 Ni4'
_space_group_name_H-M_alt 'P n m a'
_space_group_IT_number 62
_space_group_name_Hall '-P 2ac 2n'
_cell_length_a 6.557
_cell_length_b 7.294
_cell_length_c 4.807
_cell_angle_alpha 90.00
_cell_angle_beta 90.00
_cell_angle_gamma 90.00
loop_
_atom_site_label
_atom_site_type_symbol
_atom_site_fract_x
_atom_site_fract_y
_atom_site_fract_z
Al1 Al 0.009 0.250 0.085
Al2 Al 0.171 0.055 0.639
Ni1 Ni 0.129 0.750 0.444
```